Entry from Materials Project: a geometry-optimized B5H7 structure (r2SCAN).

a b c (Å): 12.5772 5.6861 14.4715
angles (deg): 90.00 125.09 90.00
Space group P2/c (No. 13)
Unique sites:
B  0.0457  0.1751  0.3706 [4 per cell]
B  0.0550  0.1230  0.8948 [4 per cell]
B  0.0818  0.2403  0.2715 [4 per cell]
B  0.0999  0.0044  0.2042 [4 per cell]
B  0.1607  0.0048  0.3643 [4 per cell]
B  0.3391  0.4996  0.2024 [4 per cell]
B  0.4012  0.4988  0.1041 [4 per cell]
B  0.4184  0.2636  0.1894 [4 per cell]
B  0.4437  0.3731  0.8388 [4 per cell]
B  0.4529  0.3288  0.3240 [4 per cell]
H  0.0579  0.2139  0.6909 [4 per cell]
H  0.0734  0.3102  0.4437 [4 per cell]
H  0.0859  0.2293  0.9769 [4 per cell]
H  0.1213  0.2136  0.8567 [4 per cell]
H  0.1504  0.4038  0.2897 [4 per cell]
H  0.1809  0.0027  0.6866 [4 per cell]
H  0.2251  0.4922  0.6564 [4 per cell]
H  0.2745  0.0024  0.9329 [4 per cell]
H  0.3208  0.4940  0.5054 [4 per cell]
H  0.3503  0.0997  0.1390 [4 per cell]
H  0.3791  0.2823  0.7344 [4 per cell]
H  0.4115  0.2661  0.8888 [4 per cell]
H  0.4242  0.1936  0.3686 [4 per cell]
H  0.4427  0.2826  0.6325 [4 per cell]

The value obtained for the total energy is -5.172 eV/atom.

Entry from Materials Project: a geometry-optimized LaCo2 structure (r2SCAN).

a b c (Å): 7.1982 7.1982 7.1982
angles (deg): 90.00 90.00 90.00
Space group Fd-3m (No. 227, origin choice 2)
Unique sites:
La  0.1250  0.1250  0.1250 [8 per cell]
Co  0.0000  0.0000  0.5000 [16 per cell]

The value obtained for the total energy is -18.556 eV/atom.

Entry from Materials Project: a geometry-optimized BaZn structure (r2SCAN).

a b c (Å): 4.0785 4.0785 4.0785
angles (deg): 90.00 90.00 90.00
Space group Pm-3m (No. 221)
Unique sites:
Ba  0.0000  0.0000  0.0000 [1 per cell]
Zn  0.5000  0.5000  0.5000 [1 per cell]

The value obtained for the total energy is -17.809 eV/atom.

Entry from Materials Project: a geometry-optimized U2N3 structure (r2SCAN).

a b c (Å): 10.7148 10.7148 10.7148
angles (deg): 90.00 90.00 90.00
Space group Ia-3 (No. 206)
Unique sites:
U  0.0000  0.2500  0.4781 [24 per cell]
U  0.2500  0.2500  0.2500 [8 per cell]
N  0.1159  0.1473  0.6203 [48 per cell]

The value obtained for the total energy is -39.201 eV/atom.

Entry from Materials Project: a geometry-optimized VF5 structure (r2SCAN).

a b c (Å): 5.1573 8.4477 7.7643
angles (deg): 90.00 90.00 90.00
Space group Pnma (No. 62)
Unique sites:
V  0.2308  0.2500  0.0661 [4 per cell]
F  0.0289  0.2500  0.5319 [4 per cell]
F  0.0498  0.2500  0.8823 [4 per cell]
F  0.0732  0.7500  0.7919 [4 per cell]
F  0.2293  0.0461  0.1026 [8 per cell]

The value obtained for the total energy is -7.787 eV/atom.

Entry from Materials Project: a geometry-optimized CeSnRu structure (r2SCAN).

a b c (Å): 11.7945 4.8367 9.9887
angles (deg): 90.00 105.33 90.00
Space group C2/m (No. 12)
Unique sites:
Ce  0.1345  0.0000  0.4171 [4 per cell]
Ce  0.1349  0.0000  0.9169 [4 per cell]
Sn  0.0860  0.5000  0.1620 [4 per cell]
Sn  0.0868  0.5000  0.6617 [4 per cell]
Ru  0.1870  0.0000  0.1562 [4 per cell]
Ru  0.1876  0.0000  0.6570 [4 per cell]

The value obtained for the total energy is -27.697 eV/atom.

Entry from Materials Project: a geometry-optimized FeNi3 structure (r2SCAN).

a b c (Å): 5.5807 5.5807 5.5807
angles (deg): 90.00 90.00 90.00
Space group Fm-3m (No. 225)
Unique sites:
Fe  0.0000  0.0000  0.0000 [4 per cell]
Ni  0.0000  0.0000  0.5000 [4 per cell]
Ni  0.2500  0.2500  0.2500 [8 per cell]

The value obtained for the total energy is -12.576 eV/atom.

Entry from Materials Project: a geometry-optimized NaHg3 structure (r2SCAN).

a b c (Å): 7.3222 7.3222 7.3222
angles (deg): 90.00 90.00 90.00
Space group Fm-3m (No. 225)
Unique sites:
Na  0.0000  0.0000  0.0000 [4 per cell]
Hg  0.0000  0.0000  0.5000 [4 per cell]
Hg  0.2500  0.2500  0.2500 [8 per cell]

The value obtained for the total energy is -38.114 eV/atom.

Entry from Materials Project: a geometry-optimized CeHf2F11 structure (r2SCAN).

a b c (Å): 12.6362 10.9877 7.7090
angles (deg): 90.00 127.59 90.00
Space group C2 (No. 5)
Unique sites:
Ce  0.0000  0.0000  0.0000 [2 per cell]
Ce  0.0000  0.4989  0.0000 [2 per cell]
Hf  0.1804  0.2497  0.8124 [4 per cell]
Hf  0.1799  0.7495  0.5477 [4 per cell]
F  0.0000  0.2498  0.5000 [2 per cell]
F  0.0000  0.7503  0.5000 [2 per cell]
F  0.0753  0.1223  0.8384 [4 per cell]
F  0.0752  0.3768  0.8388 [4 per cell]
F  0.0752  0.6220  0.3130 [4 per cell]
F  0.0750  0.8767  0.3115 [4 per cell]
F  0.1882  0.6134  0.0860 [4 per cell]
F  0.1889  0.1127  0.2917 [4 per cell]
F  0.1891  0.8867  0.0864 [4 per cell]
F  0.1896  0.3869  0.2920 [4 per cell]
F  0.2197  0.2497  0.5885 [4 per cell]
F  0.2197  0.7495  0.8507 [4 per cell]

The value obtained for the total energy is -15.298 eV/atom.

Entry from Materials Project: a geometry-optimized Ba3Nb6Si4O26 structure (r2SCAN).

a b c (Å): 9.1012 9.1012 7.7770
angles (deg): 90.00 90.00 120.00
Space group P-62m (No. 189)
Unique sites:
Ba  0.0000  0.6018  0.0000 [3 per cell]
Nb  0.0000  0.2390  0.2567 [6 per cell]
Si  0.3333  0.6667  0.2937 [4 per cell]
O  0.0000  0.2264  0.0000 [3 per cell]
O  0.0000  0.2864  0.5000 [3 per cell]
O  0.0000  0.8217  0.2705 [6 per cell]
O  0.1839  0.4893  0.2146 [12 per cell]
O  0.3333  0.6667  0.5000 [2 per cell]

The value obtained for the total energy is -13.740 eV/atom.

Entry from Materials Project: a geometry-optimized Ce2In8Pd structure (r2SCAN).

a b c (Å): 4.7332 4.7332 12.1976
angles (deg): 90.00 90.00 90.00
Space group P4/mmm (No. 123)
Unique sites:
Ce  0.0000  0.0000  0.1910 [2 per cell]
In  0.0000  0.5000  0.0000 [2 per cell]
In  0.0000  0.5000  0.3774 [4 per cell]
In  0.5000  0.5000  0.1946 [2 per cell]
Pd  0.0000  0.0000  0.5000 [1 per cell]

The value obtained for the total energy is -24.669 eV/atom.

Entry from Materials Project: a geometry-optimized Sm2Pd2Pb structure (r2SCAN).

a b c (Å): 7.9269 7.9269 3.7331
angles (deg): 90.00 90.00 90.00
Space group P4/mbm (No. 127)
Unique sites:
Sm  0.1749  0.3251  0.0000 [4 per cell]
Pd  0.1236  0.6236  0.5000 [4 per cell]
Pb  0.0000  0.0000  0.5000 [2 per cell]

The value obtained for the total energy is -33.224 eV/atom.

Entry from Materials Project: a geometry-optimized TbInAu2 structure (r2SCAN).

a b c (Å): 6.9548 6.9548 6.9548
angles (deg): 90.00 90.00 90.00
Space group Fm-3m (No. 225)
Unique sites:
Tb  0.0000  0.0000  0.0000 [4 per cell]
In  0.0000  0.0000  0.5000 [4 per cell]
Au  0.2500  0.2500  0.2500 [8 per cell]

The value obtained for the total energy is -39.542 eV/atom.

Entry from Materials Project: a geometry-optimized TbB4Ir4 structure (r2SCAN).

a b c (Å): 7.6156 7.6156 3.9726
angles (deg): 90.00 90.00 90.00
Space group P4_2/n (No. 86, origin choice 2)
Unique sites:
Tb  0.2500  0.2500  0.2500 [2 per cell]
B  0.0276  0.5927  0.1396 [8 per cell]
Ir  0.0897  0.8593  0.1382 [8 per cell]

The value obtained for the total energy is -30.639 eV/atom.

Entry from Materials Project: a geometry-optimized VRe structure (r2SCAN).

a b c (Å): 3.0297 4.3733 4.2306
angles (deg): 90.00 90.00 90.00
Space group Cmmm (No. 65)
Unique sites:
V  0.0000  0.0000  0.0000 [2 per cell]
Re  0.0000  0.5000  0.5000 [2 per cell]

The value obtained for the total energy is -33.589 eV/atom.

Entry from Materials Project: a geometry-optimized CsSrF3 structure (r2SCAN).

a b c (Å): 4.7632 4.7632 4.7632
angles (deg): 90.00 90.00 90.00
Space group Pm-3m (No. 221)
Unique sites:
Cs  0.0000  0.0000  0.0000 [1 per cell]
Sr  0.5000  0.5000  0.5000 [1 per cell]
F  0.0000  0.5000  0.5000 [3 per cell]

The value obtained for the total energy is -13.566 eV/atom.

| no. | energy relative to the elements (eV/atom) |
| --- | --- |
| 1 | -0.0953 |
| 2 | 0.1814 |
| 3 | -0.1038 |
| 4 | -1.7470 |
| 5 | -2.8335 |
| 6 | -0.6930 |
| 7 | 0.0137 |
| 8 | -0.1973 |
| 9 | -4.1890 |
| 10 | -3.0152 |
| 11 | -0.5532 |
| 12 | -0.8894 |
| 13 | -0.7980 |
| 14 | -0.6333 |
| 15 | -0.3390 |
| 16 | -3.6392 |